No. 1
Li9Mn2Co5O16 | PBE with a Hubbard U | relaxed

abc: 5.9003 6.4484 8.5869
angles: 83.11 70.72 66.20
Element x y z (fractional)
Li  0.0000  0.0000  0.0000
Li  0.0010  0.7530  0.7411
Li  0.0085  0.4949  0.4990
Li  0.0132  0.2439  0.2549
Li  0.2496  0.0005  0.4992
Li  0.4826  0.2437  0.2606
Li  0.4917  0.5014  0.5025
Li  0.4964  0.9983  0.0018
Li  0.5022  0.7523  0.7464
Mn  0.2465  0.7530  0.2549
Mn  0.7571  0.2440  0.7501
Co  0.2504  0.4974  0.0010
Co  0.2520  0.2464  0.7471
Co  0.7401  0.7561  0.2529
Co  0.7453  0.5006  0.0010
Co  0.7502  0.9997  0.5015
O  0.0959  0.0318  0.7522
O  0.1338  0.2659  0.9864
O  0.1343  0.5083  0.2379
O  0.1347  0.7477  0.4852
O  0.3564  0.7372  0.0103
O  0.3689  0.9849  0.2475
O  0.3705  0.2431  0.5189
O  0.3948  0.4705  0.7622
O  0.6015  0.5282  0.2413
O  0.6388  0.2606  0.9917
O  0.6395  0.0062  0.7448
O  0.6460  0.7637  0.4840
O  0.8540  0.2385  0.5144
O  0.8580  0.4912  0.7619
O  0.8589  0.7331  0.0157
O  0.8957  0.9734  0.2578

Relative energy among the computed polymorphs   0.0295 eV/atom
SG   P1



No. 2
MgMnCo2O6 | PBE with a Hubbard U | relaxed

abc: 6.6417 6.6417 5.9336
angles: 104.30 104.30 25.45
Element x y z (fractional)
Mg  0.0000  0.0000  0.0000
Mn  0.6716  0.6716  0.8237
Co  0.0056  0.0056  0.4899
Co  0.3311  0.3311  0.1866
O  0.1582  0.1582  0.6014
O  0.1668  0.1668  0.0356
O  0.4989  0.4989  0.2437
O  0.5161  0.5161  0.7492
O  0.8253  0.8253  0.9598
O  0.8568  0.8568  0.4016

Relative energy among the computed polymorphs   0.0061 eV/atom
SG   Cm



No. 3
Nb2CoO6 | PBE with a Hubbard U | relaxed

abc: 14.3300 5.8321 5.0980
angles: 90.00 90.00 90.00
Element x y z (fractional)
Nb  0.1597  0.1816  0.2442
Nb  0.1597  0.8184  0.7442
Nb  0.3403  0.3184  0.7442
Nb  0.3403  0.6816  0.2442
Nb  0.6597  0.3184  0.7558
Nb  0.6597  0.6816  0.2558
Nb  0.8403  0.1816  0.2558
Nb  0.8403  0.8184  0.7558
Co  0.0000  0.3441  0.7500
Co  0.0000  0.6559  0.2500
Co  0.5000  0.1559  0.2500
Co  0.5000  0.8441  0.7500
O  0.0783  0.3805  0.4073
O  0.0783  0.6195  0.9073
O  0.0956  0.1073  0.9191
O  0.0956  0.8927  0.4191
O  0.2448  0.1241  0.5735
O  0.2448  0.8759  0.0735
O  0.2552  0.3759  0.0735
O  0.2552  0.6241  0.5735
O  0.4044  0.3927  0.4191
O  0.4044  0.6073  0.9191
O  0.4217  0.1195  0.9073
O  0.4217  0.8805  0.4073
O  0.5783  0.1195  0.5927
O  0.5783  0.8805  0.0927
O  0.5956  0.3927  0.0809
O  0.5956  0.6073  0.5809
O  0.7448  0.3759  0.4265
O  0.7448  0.6241  0.9265
O  0.7552  0.1241  0.9265
O  0.7552  0.8759  0.4265
O  0.9044  0.1073  0.5809
O  0.9044  0.8927  0.0809
O  0.9217  0.3805  0.0927
O  0.9217  0.6195  0.5927

Relative energy among the computed polymorphs   0.0000 eV/atom
SG   Pbcn



No. 4
VF5 | PBE with a Hubbard U | relaxed

abc: 5.4803 5.4803 6.2763
angles: 104.84 104.84 76.52
Element x y z (fractional)
V  0.0898  0.9102  0.7500
V  0.9102  0.0898  0.2500
F  0.1539  0.8440  0.0570
F  0.1560  0.8461  0.4430
F  0.1618  0.2682  0.3466
F  0.2682  0.1618  0.8466
F  0.3479  0.6521  0.7500
F  0.6521  0.3479  0.2500
F  0.7318  0.8382  0.1534
F  0.8382  0.7318  0.6534
F  0.8440  0.1539  0.5570
F  0.8461  0.1560  0.9430

SG   C2/c
DFT total energy   -5.163 eV per atom



No. 5
ZnCu3Ni4O12 | PBE with a Hubbard U | relaxed

abc: 6.2723 6.2723 6.2723
angles: 109.47 109.47 109.47
Element x y z (fractional)
Zn  0.0000  0.0000  0.0000
Cu  0.0000  0.5000  0.5000
Cu  0.5000  0.0000  0.5000
Cu  0.5000  0.5000  0.0000
Ni  0.0000  0.0000  0.5000
Ni  0.0000  0.5000  0.0000
Ni  0.5000  0.0000  0.0000
Ni  0.5000  0.5000  0.5000
O  0.1382  0.3076  0.8306
O  0.1694  0.4770  0.3076
O  0.1694  0.8618  0.6924
O  0.3076  0.1694  0.4770
O  0.3076  0.8306  0.1382
O  0.4770  0.3076  0.1694
O  0.5230  0.6924  0.8306
O  0.6924  0.1694  0.8618
O  0.6924  0.8306  0.5230
O  0.8306  0.1382  0.3076
O  0.8306  0.5230  0.6924
O  0.8618  0.6924  0.1694

SG   Im-3
DFT total energy   -4.761 eV per atom



No. 6
W2NO6 | PBE with a Hubbard U | relaxed

abc: 7.3734 7.3734 7.3734
angles: 60.00 60.00 60.00
Element x y z (fractional)
W  0.0000  0.0000  0.0000
W  0.0000  0.0000  0.5000
W  0.0000  0.5000  0.0000
W  0.5000  0.0000  0.0000
N  0.3750  0.3750  0.3750
N  0.6250  0.6250  0.6250
O  0.0577  0.0577  0.6923
O  0.0577  0.6923  0.0577
O  0.0577  0.6923  0.6923
O  0.3077  0.3077  0.9423
O  0.3077  0.9423  0.3077
O  0.3077  0.9423  0.9423
O  0.6923  0.0577  0.0577
O  0.6923  0.0577  0.6923
O  0.6923  0.6923  0.0577
O  0.9423  0.3077  0.3077
O  0.9423  0.3077  0.9423
O  0.9423  0.9423  0.3077

SG   Fd-3m
DFT total energy   -7.019 eV per atom



No. 7
Li4MnFe3P4O16 | PBE with a Hubbard U | relaxed

abc: 7.7296 7.7405 10.5170
angles: 90.08 90.05 103.99
Element x y z (fractional)
Li  0.0000  0.0000  0.0000
Li  0.0000  0.5000  0.5000
Li  0.2504  0.2500  0.4995
Li  0.2505  0.7498  0.0005
Li  0.5000  0.0000  0.5000
Li  0.5000  0.5000  0.0000
Li  0.7495  0.2502  0.9995
Li  0.7496  0.7500  0.5005
Mn  0.1147  0.3642  0.7824
Mn  0.8853  0.6358  0.2176
Fe  0.1128  0.8630  0.7174
Fe  0.3870  0.1366  0.2176
Fe  0.3876  0.6379  0.2826
Fe  0.6124  0.3621  0.7174
Fe  0.6130  0.8634  0.7824
Fe  0.8872  0.1370  0.2826
P  0.1674  0.9174  0.4049
P  0.1687  0.4166  0.0966
P  0.3337  0.0816  0.9045
P  0.3353  0.5854  0.5943
P  0.6647  0.4146  0.4057
P  0.6663  0.9184  0.0955
P  0.8313  0.5834  0.9034
P  0.8326  0.0826  0.5951
O  0.0055  0.2568  0.0992
O  0.0055  0.7557  0.4020
O  0.1319  0.0849  0.3346
O  0.1373  0.5863  0.1660
O  0.1636  0.1125  0.8348
O  0.1668  0.6204  0.6643
O  0.2295  0.4778  0.9593
O  0.2287  0.9789  0.5420
O  0.2724  0.5224  0.4576
O  0.2729  0.0212  0.0420
O  0.3349  0.8821  0.3346
O  0.3365  0.3801  0.1658
O  0.3703  0.4170  0.6642
O  0.3696  0.9135  0.8350
O  0.4934  0.2445  0.9006
O  0.4964  0.7463  0.5978
O  0.5036  0.2537  0.4022
O  0.5066  0.7555  0.0994
O  0.6304  0.0865  0.1650
O  0.6297  0.5830  0.3358
O  0.6635  0.6199  0.8342
O  0.6651  0.1179  0.6654
O  0.7271  0.9788  0.9580
O  0.7276  0.4776  0.5424
O  0.7713  0.0211  0.4580
O  0.7705  0.5222  0.0407
O  0.8332  0.3796  0.3357
O  0.8364  0.8875  0.1652
O  0.8627  0.4137  0.8340
O  0.8681  0.9151  0.6654
O  0.9945  0.2443  0.5980
O  0.9945  0.7432  0.9008

Relative energy among the computed polymorphs   0.0001 eV/atom
SG   P-1



No. 8
Li2Fe3SnO8 | PBE with a Hubbard U | relaxed

abc: 6.0164 6.1602 8.6002
angles: 91.57 90.08 90.07
Element x y z (fractional)
Li  0.2495  0.4967  0.1290
Li  0.2508  0.0031  0.3707
Li  0.7492  0.9969  0.6293
Li  0.7505  0.5033  0.8710
Fe  0.0000  0.0000  0.0000
Fe  0.0000  0.5000  0.5000
Fe  0.2491  0.7503  0.7506
Fe  0.5000  0.0000  0.0000
Fe  0.5000  0.5000  0.5000
Fe  0.7509  0.2497  0.2494
Sn  0.2512  0.2515  0.7508
Sn  0.7488  0.7485  0.2492
O  0.0160  0.9973  0.7698
O  0.0171  0.5037  0.7336
O  0.2322  0.7137  0.5108
O  0.2346  0.7858  0.9889
O  0.2531  0.2725  0.5082
O  0.2555  0.2288  0.9923
O  0.4752  0.9925  0.7600
O  0.4778  0.5074  0.7379
O  0.5222  0.4926  0.2621
O  0.5248  0.0075  0.2400
O  0.7445  0.7712  0.0077
O  0.7469  0.7275  0.4918
O  0.7654  0.2142  0.0111
O  0.7678  0.2863  0.4892
O  0.9829  0.4963  0.2664
O  0.9840  0.0027  0.2302

Relative energy among the computed polymorphs   0.0141 eV/atom
SG   P-1



No. 9
LiFeF5 | PBE with a Hubbard U | relaxed

abc: 4.9473 8.7579 9.2626
angles: 90.00 90.00 90.00
Element x y z (fractional)
Li  0.1451  0.2500  0.0000
Li  0.1451  0.2500  0.5000
Li  0.8549  0.7500  0.0000
Li  0.8549  0.7500  0.5000
Fe  0.3423  0.5810  0.2500
Fe  0.3423  0.9190  0.7500
Fe  0.6577  0.0810  0.2500
Fe  0.6577  0.4190  0.7500
F  0.1074  0.7447  0.2500
F  0.1074  0.7553  0.7500
F  0.1739  0.0273  0.6135
F  0.1739  0.0273  0.8865
F  0.1739  0.4727  0.1135
F  0.1739  0.4727  0.3865
F  0.4233  0.1488  0.1155
F  0.4233  0.1488  0.3845
F  0.4233  0.3512  0.6155
F  0.4233  0.3512  0.8845
F  0.5767  0.6488  0.1155
F  0.5767  0.6488  0.3845
F  0.5767  0.8512  0.6155
F  0.5767  0.8512  0.8845
F  0.8261  0.5273  0.6135
F  0.8261  0.5273  0.8865
F  0.8261  0.9727  0.1135
F  0.8261  0.9727  0.3865
F  0.8926  0.2447  0.2500
F  0.8926  0.2553  0.7500

Relative energy among the computed polymorphs   0.0995 eV/atom
SG   Pbcm



No. 10
Sr5Ca3Ti5Mn3O24 | PBE with a Hubbard U | relaxed

abc: 7.7663 7.8007 7.8063
angles: 90.00 89.99 89.99
Element x y z (fractional)
Sr  0.0000  0.0000  0.0000
Sr  0.0001  0.9997  0.4966
Sr  0.9998  0.5033  0.0003
Sr  0.5096  0.9998  0.9999
Sr  0.5096  0.9998  0.4967
Ca  0.5123  0.5044  0.0016
Ca  0.5132  0.5044  0.4949
Ca  0.9966  0.5046  0.4954
Ti  0.2563  0.2540  0.2492
Ti  0.2556  0.2542  0.7474
Ti  0.2563  0.7491  0.2491
Ti  0.2562  0.7489  0.7475
Ti  0.7539  0.2559  0.7468
Mn  0.7544  0.2537  0.2487
Mn  0.7545  0.7506  0.7477
Mn  0.7546  0.7500  0.2488
O  0.0014  0.2556  0.2507
O  0.0015  0.7475  0.2508
O  0.0015  0.7477  0.7460
O  0.0036  0.2550  0.7466
O  0.2555  0.0012  0.2492
O  0.2555  0.0012  0.7475
O  0.2556  0.2560  0.4981
O  0.2565  0.5018  0.2501
O  0.2564  0.5016  0.7466
O  0.2557  0.7468  0.4980
O  0.2567  0.2552  0.9986
O  0.2568  0.7477  0.9987
O  0.5058  0.2557  0.7474
O  0.5079  0.2568  0.2492
O  0.5079  0.7461  0.2492
O  0.5079  0.7463  0.7474
O  0.7502  0.5010  0.2526
O  0.7501  0.7463  0.9979
O  0.7521  0.2560  0.0013
O  0.7524  0.5043  0.7462
O  0.7540  0.2572  0.4955
O  0.7541  0.9986  0.7474
O  0.7548  0.0020  0.2487
O  0.7547  0.7428  0.4988

SG   P1
DFT total energy   -7.598 eV per atom



No. 11
LiCoPO4 | PBE with a Hubbard U | relaxed

abc: 11.0418 6.1321 5.0163
angles: 90.00 90.00 90.00
Element x y z (fractional)
Li  0.0685  0.2171  0.0000
Li  0.4315  0.7171  0.5000
Li  0.5685  0.2829  0.0000
Li  0.9315  0.7829  0.5000
Co  0.1665  0.4709  0.5017
Co  0.3335  0.9709  0.0017
Co  0.6665  0.0291  0.5017
Co  0.8335  0.5291  0.0017
P  0.0881  0.7313  0.0053
P  0.4119  0.2313  0.5053
P  0.5881  0.7687  0.0053
P  0.9119  0.2687  0.5053
O  0.0435  0.2443  0.3967
O  0.0862  0.7159  0.3143
O  0.1483  0.5198  0.8937
O  0.1598  0.9390  0.9206
O  0.3402  0.4390  0.4206
O  0.3517  0.0198  0.3937
O  0.4138  0.2159  0.8143
O  0.4565  0.7443  0.8967
O  0.5435  0.2557  0.3967
O  0.5862  0.7841  0.3143
O  0.6483  0.9802  0.8937
O  0.6598  0.5609  0.9206
O  0.8402  0.0610  0.4206
O  0.8517  0.4802  0.3937
O  0.9138  0.2841  0.8143
O  0.9565  0.7557  0.8967

Relative energy among the computed polymorphs   0.0470 eV/atom
SG   Pna2_1



No. 12
Li4V2Si3O12 | PBE with a Hubbard U | relaxed

abc: 8.4686 8.4686 8.4686
angles: 63.63 63.63 63.63
Element x y z (fractional)
Li  0.0000  0.0000  0.0000
Li  0.1641  0.7500  0.3359
Li  0.2500  0.6641  0.8359
Li  0.3359  0.1641  0.7500
Li  0.5000  0.5000  0.5000
Li  0.6641  0.8359  0.2500
Li  0.7500  0.3359  0.1641
Li  0.8359  0.2500  0.6641
V  0.1393  0.1393  0.1393
V  0.3607  0.3607  0.3607
V  0.6393  0.6393  0.6393
V  0.8607  0.8607  0.8607
Si  0.0399  0.4601  0.7500
Si  0.2500  0.9601  0.5399
Si  0.4601  0.7500  0.0399
Si  0.5399  0.2500  0.9601
Si  0.7500  0.0399  0.4601
Si  0.9601  0.5399  0.2500
O  0.0094  0.6324  0.8103
O  0.0592  0.2570  0.9117
O  0.0883  0.9408  0.7430
O  0.1324  0.5094  0.3103
O  0.1897  0.9906  0.3676
O  0.2430  0.4408  0.5883
O  0.2570  0.9117  0.0592
O  0.3103  0.1324  0.5094
O  0.3676  0.1897  0.9906
O  0.4117  0.7570  0.5592
O  0.4408  0.5883  0.2430
O  0.4906  0.6897  0.8676
O  0.5094  0.3103  0.1324
O  0.5592  0.4117  0.7570
O  0.5883  0.2430  0.4408
O  0.6324  0.8103  0.0094
O  0.6897  0.8676  0.4906
O  0.7430  0.0883  0.9408
O  0.7570  0.5592  0.4117
O  0.8103  0.0094  0.6324
O  0.8676  0.4906  0.6897
O  0.9117  0.0592  0.2570
O  0.9408  0.7430  0.0883
O  0.9906  0.3676  0.1897

SG   R-3c
DFT total energy   -7.024 eV per atom



What is the formula in the fourth record? VF5



Which formula does entry 2 have? MgMnCo2O6